Record 1
{
  "formula": "RhO2F6",
  "functional": "PBE",
  "state": "relaxed",
  "energy_ev_per_atom": -4.177,
  "spacegroup": "P-1 (2)",
  "formation_energy_ev_per_atom": -1.326,
  "lattice": [[-1.961, 1.696, -4.540], [0.017, -5.205, -0.812], [-4.311, -0.382, 3.035]],
  "species": ["Rh", "F", "F", "F", "F", "F", "F", "O", "O"],
  "fractional_positions": [[0.000, 0.000, 0.000], [0.694, 0.085, 0.786], [0.306, 0.915, 0.214], [0.213, 0.306, 0.922], [0.942, 0.182, 0.285], [0.787, 0.694, 0.078], [0.058, 0.818, 0.715], [0.410, 0.540, 0.529], [0.590, 0.460, 0.471]]
}

---

Record 2
{
  "formula": "MgSb4O10",
  "functional": "PBE",
  "state": "relaxed",
  "energy_ev_per_atom": -5.868,
  "spacegroup": "Amm2 (38)",
  "formation_energy_ev_per_atom": -1.820,
  "lattice": [[10.477, 0.000, 0.000], [0.000, 5.284, -1.975], [0.000, 0.000, 3.949]],
  "species": ["O", "O", "O", "O", "O", "O", "O", "O", "O", "O", "Sb", "Sb", "Sb", "Sb", "Mg"],
  "fractional_positions": [[0.816, 0.844, 0.422], [0.000, 0.933, 0.967], [0.348, 0.618, 0.809], [0.758, 0.148, 0.074], [0.652, 0.618, 0.809], [0.184, 0.844, 0.422], [0.882, 0.418, 0.709], [0.118, 0.418, 0.709], [0.242, 0.148, 0.074], [0.500, 0.150, 0.575], [0.821, 0.779, 0.890], [0.179, 0.779, 0.890], [0.686, 0.245, 0.622], [0.314, 0.245, 0.622], [0.000, 0.313, 0.157]]
}

---

Record 3
{
  "formula": "Li2TmPCO7",
  "functional": "PBE",
  "state": "relaxed",
  "energy_ev_per_atom": -7.190,
  "spacegroup": "P2_1/m (11)",
  "formation_energy_ev_per_atom": -2.793,
  "lattice": [[-5.958, 1.287, -2.892], [1.986, -0.735, -4.420], [-1.938, -8.756, 0.096]],
  "species": ["O", "O", "O", "O", "O", "O", "O", "O", "O", "O", "O", "O", "O", "O", "C", "C", "Tm", "Tm", "P", "P", "Li", "Li", "Li", "Li"],
  "fractional_positions": [[0.250, 0.768, 0.584], [0.750, 0.595, 0.598], [0.250, 0.478, 0.849], [0.064, 0.850, 0.337], [0.750, 0.720, 0.917], [0.250, 0.026, 0.878], [0.436, 0.850, 0.337], [0.750, 0.232, 0.416], [0.750, 0.974, 0.122], [0.564, 0.150, 0.663], [0.936, 0.150, 0.663], [0.250, 0.280, 0.083], [0.750, 0.522, 0.151], [0.250, 0.405, 0.402], [0.750, 0.739, 0.057], [0.250, 0.261, 0.943], [0.250, 0.249, 0.641], [0.750, 0.751, 0.359], [0.250, 0.721, 0.411], [0.750, 0.279, 0.589], [0.513, 0.793, 0.794], [0.987, 0.793, 0.794], [0.487, 0.207, 0.206], [0.013, 0.207, 0.206]]
}

---

Record 4
{
  "formula": "Rb6Na4Tl13",
  "functional": "PBE",
  "state": "relaxed",
  "energy_ev_per_atom": -1.947,
  "spacegroup": "Im-3 (204)",
  "formation_energy_ev_per_atom": -0.125,
  "lattice": [[-6.006, 6.006, 6.006], [6.006, -6.006, 6.006], [6.006, 6.006, -6.006]],
  "species": ["Na", "Na", "Na", "Na", "Tl", "Tl", "Tl", "Tl", "Tl", "Tl", "Tl", "Tl", "Tl", "Tl", "Tl", "Tl", "Tl", "Rb", "Rb", "Rb", "Rb", "Rb", "Rb"],
  "fractional_positions": [[0.500, 0.500, 0.500], [0.500, 0.000, 0.000], [0.000, 0.500, 0.000], [0.000, 0.000, 0.500], [0.378, 0.141, 0.238], [0.859, 0.238, 0.097], [0.238, 0.097, 0.859], [0.622, 0.859, 0.762], [0.903, 0.141, 0.762], [0.859, 0.762, 0.622], [0.000, 0.000, 0.000], [0.762, 0.903, 0.141], [0.097, 0.859, 0.238], [0.141, 0.762, 0.903], [0.762, 0.622, 0.859], [0.141, 0.238, 0.378], [0.238, 0.378, 0.141], [0.500, 0.829, 0.329], [0.500, 0.171, 0.671], [0.171, 0.671, 0.500], [0.329, 0.500, 0.829], [0.829, 0.329, 0.500], [0.671, 0.500, 0.171]]
}

---

Record 5
{
  "formula": "Mo3Se2S2",
  "functional": "PBE",
  "state": "relaxed",
  "energy_ev_per_atom": -7.427,
  "spacegroup": "P1 (1)",
  "formation_energy_ev_per_atom": -0.742,
  "lattice": [[-0.825, 6.053, 2.330], [-3.175, 1.515, -5.595], [-5.598, -2.061, 2.847]],
  "species": ["Mo", "Mo", "Mo", "Mo", "Mo", "Mo", "S", "S", "S", "S", "Se", "Se", "Se", "Se"],
  "fractional_positions": [[0.409, 0.551, 0.214], [0.788, 0.598, 0.448], [0.210, 0.411, 0.549], [0.448, 0.779, 0.590], [0.593, 0.455, 0.780], [0.547, 0.214, 0.411], [0.135, 0.728, 0.385], [0.610, 0.866, 0.275], [0.272, 0.610, 0.864], [0.862, 0.278, 0.607], [0.208, 0.212, 0.211], [0.374, 0.128, 0.750], [0.751, 0.378, 0.127], [0.792, 0.794, 0.788]]
}

---

Record 6
{
  "formula": "LaPrAl4",
  "functional": "PBE",
  "state": "relaxed",
  "energy_ev_per_atom": -4.610,
  "spacegroup": "F-43m (216)",
  "formation_energy_ev_per_atom": -0.493,
  "lattice": [[0.607, 2.554, 5.106], [-2.584, 5.024, 1.021], [-4.443, 0.258, 3.627]],
  "species": ["Al", "Al", "Al", "Al", "Pr", "La"],
  "fractional_positions": [[0.625, 0.625, 0.125], [0.625, 0.625, 0.625], [0.625, 0.125, 0.625], [0.125, 0.625, 0.625], [0.000, 0.000, 0.000], [0.250, 0.250, 0.250]]
}

---

Record 7
{
  "formula": "PrZn5",
  "functional": "PBE",
  "state": "relaxed",
  "energy_ev_per_atom": -2.152,
  "spacegroup": "P6/mmm (191)",
  "formation_energy_ev_per_atom": -0.305,
  "lattice": [[-3.798, 1.917, 3.357], [-1.427, -2.113, -4.782], [-0.348, -3.858, 1.809]],
  "species": ["Pr", "Zn", "Zn", "Zn", "Zn", "Zn"],
  "fractional_positions": [[0.000, 0.000, 0.000], [0.667, 0.333, 0.000], [0.500, 0.500, 0.500], [0.000, 0.500, 0.500], [0.333, 0.667, 0.000], [0.500, 0.000, 0.500]]
}

---

Record 8
{
  "formula": "U2S",
  "functional": "PBE",
  "state": "relaxed",
  "energy_ev_per_atom": -8.885,
  "spacegroup": "P-1 (2)",
  "formation_energy_ev_per_atom": -0.147,
  "lattice": [[-0.676, -2.567, 5.565], [-5.824, -3.683, -0.276], [1.904, -8.185, -0.998]],
  "species": ["S", "S", "U", "U", "U", "U"],
  "fractional_positions": [[0.503, 0.255, 0.987], [0.497, 0.745, 0.013], [0.148, 0.593, 0.989], [0.852, 0.407, 0.011], [0.856, 0.913, 0.994], [0.144, 0.087, 0.006]]
}

---

Record 9
{
  "formula": "MgTi2Cu2O8",
  "functional": "PBE",
  "state": "relaxed",
  "energy_ev_per_atom": -6.905,
  "spacegroup": "P2_1/c (14)",
  "formation_energy_ev_per_atom": -2.315,
  "lattice": [[6.420, 0.000, -0.116], [0.000, 8.357, 0.000], [-0.116, 0.000, 12.072]],
  "species": ["O", "O", "O", "O", "O", "O", "O", "O", "O", "O", "O", "O", "O", "O", "O", "O", "O", "O", "O", "O", "O", "O", "O", "O", "O", "O", "O", "O", "O", "O", "O", "O", "Ti", "Ti", "Ti", "Ti", "Ti", "Ti", "Ti", "Ti", "Cu", "Cu", "Cu", "Cu", "Cu", "Cu", "Cu", "Cu", "Mg", "Mg", "Mg", "Mg"],
  "fractional_positions": [[0.193, 0.576, 0.476], [0.305, 0.875, 0.709], [0.093, 0.387, 0.114], [0.883, 0.967, 0.808], [0.093, 0.113, 0.614], [0.969, 0.743, 0.103], [0.969, 0.757, 0.603], [0.117, 0.467, 0.692], [0.582, 0.729, 0.415], [0.695, 0.375, 0.791], [0.193, 0.924, 0.976], [0.907, 0.613, 0.886], [0.500, 0.396, 0.358], [0.883, 0.533, 0.308], [0.031, 0.257, 0.897], [0.031, 0.243, 0.397], [0.807, 0.424, 0.524], [0.907, 0.887, 0.386], [0.305, 0.625, 0.209], [0.418, 0.271, 0.585], [0.500, 0.896, 0.142], [0.650, 0.015, 0.604], [0.418, 0.229, 0.085], [0.350, 0.985, 0.396], [0.500, 0.604, 0.642], [0.582, 0.771, 0.915], [0.807, 0.076, 0.024], [0.500, 0.104, 0.858], [0.350, 0.515, 0.896], [0.117, 0.033, 0.192], [0.695, 0.125, 0.291], [0.650, 0.485, 0.104], [0.613, 0.411, 0.637], [0.613, 0.089, 0.137], [0.387, 0.589, 0.363], [0.902, 0.542, 0.160], [0.387, 0.911, 0.863], [0.902, 0.958, 0.660], [0.098, 0.458, 0.840], [0.098, 0.042, 0.340], [0.765, 0.318, 0.375], [0.235, 0.682, 0.625], [0.765, 0.182, 0.875], [0.374, 0.062, 0.628], [0.374, 0.438, 0.128], [0.235, 0.818, 0.125], [0.626, 0.938, 0.372], [0.626, 0.562, 0.872], [0.113, 0.158, 0.048], [0.113, 0.342, 0.548], [0.887, 0.842, 0.952], [0.887, 0.658, 0.452]]
}

---

Record 10
{
  "formula": "Nb10Pb14O39",
  "functional": "PBE",
  "state": "relaxed",
  "energy_ev_per_atom": -7.478,
  "spacegroup": "Amm2 (38)",
  "formation_energy_ev_per_atom": -2.412,
  "lattice": [[2.954, 6.063, 15.536], [-9.725, -3.223, -13.487], [-1.927, -6.764, 3.006]],
  "species": ["O", "O", "O", "O", "O", "O", "O", "O", "O", "O", "O", "O", "O", "O", "O", "O", "O", "O", "O", "O", "O", "O", "O", "O", "O", "O", "O", "O", "O", "O", "O", "O", "O", "O", "O", "O", "O", "O", "O", "Pb", "Pb", "Pb", "Pb", "Pb", "Pb", "Pb", "Pb", "Pb", "Pb", "Pb", "Pb", "Pb", "Pb", "Nb", "Nb", "Nb", "Nb", "Nb", "Nb", "Nb", "Nb", "Nb", "Nb"],
  "fractional_positions": [[0.810, 0.569, 0.813], [0.810, 0.569, 0.187], [0.431, 0.190, 0.187], [0.021, 0.979, 0.500], [0.230, 0.150, 0.815], [0.222, 0.778, 0.500], [0.899, 0.101, 0.500], [0.108, 0.512, 0.796], [0.977, 0.023, 0.000], [0.513, 0.108, 0.295], [0.780, 0.220, 0.000], [0.571, 0.812, 0.310], [0.850, 0.770, 0.185], [0.131, 0.869, 0.500], [0.559, 0.441, 0.000], [0.441, 0.559, 0.500], [0.488, 0.892, 0.204], [0.771, 0.852, 0.316], [0.108, 0.512, 0.204], [0.230, 0.150, 0.185], [0.320, 0.680, 0.500], [0.771, 0.852, 0.684], [0.188, 0.429, 0.310], [0.640, 0.360, 0.500], [0.513, 0.108, 0.705], [0.488, 0.892, 0.796], [0.892, 0.487, 0.705], [0.188, 0.429, 0.690], [0.361, 0.639, 0.000], [0.534, 0.466, 0.500], [0.874, 0.126, 0.000], [0.571, 0.812, 0.690], [0.148, 0.229, 0.684], [0.148, 0.229, 0.316], [0.892, 0.487, 0.295], [0.850, 0.770, 0.815], [0.099, 0.901, 0.000], [0.681, 0.319, 0.000], [0.431, 0.190, 0.813], [0.994, 0.504, 0.000], [0.669, 0.837, 0.000], [0.498, 0.502, 0.253], [0.505, 0.995, 0.500], [0.830, 0.170, 0.236], [0.163, 0.331, 0.000], [0.830, 0.170, 0.764], [0.170, 0.830, 0.258], [0.496, 0.006, 0.000], [0.334, 0.168, 0.500], [0.498, 0.502, 0.747], [0.832, 0.666, 0.500], [0.005, 0.495, 0.500], [0.170, 0.830, 0.742], [0.335, 0.169, 0.000], [0.335, 0.665, 0.246], [0.665, 0.335, 0.747], [0.831, 0.665, 0.000], [0.665, 0.335, 0.253], [0.335, 0.665, 0.754], [0.167, 0.332, 0.500], [0.668, 0.833, 0.500], [0.000, 0.000, 0.249], [0.000, 0.000, 0.751]]
}

---

Record 11
{
  "formula": "NbS2Br2",
  "functional": "PBE",
  "state": "relaxed",
  "energy_ev_per_atom": -5.175,
  "spacegroup": "C2/m (12)",
  "formation_energy_ev_per_atom": -1.260,
  "lattice": [[2.338, 4.994, 3.724], [-5.842, 0.711, -3.103], [-1.931, -4.583, 5.189]],
  "species": ["S", "S", "S", "S", "Nb", "Nb", "Br", "Br", "Br", "Br"],
  "fractional_positions": [[0.135, 0.135, 0.302], [0.681, 0.681, 0.869], [0.865, 0.865, 0.698], [0.319, 0.319, 0.131], [0.126, 0.874, 0.000], [0.874, 0.126, 0.000], [0.566, 0.974, 0.228], [0.974, 0.566, 0.228], [0.434, 0.026, 0.772], [0.026, 0.434, 0.772]]
}

---

Record 12
{
  "formula": "Cu3Sn4O12",
  "functional": "PBE",
  "state": "relaxed",
  "energy_ev_per_atom": -5.780,
  "spacegroup": "Im-3 (204)",
  "formation_energy_ev_per_atom": -1.598,
  "lattice": [[-3.849, 3.849, 3.849], [3.849, -3.849, 3.849], [3.849, 3.849, -3.849]],
  "species": ["O", "O", "O", "O", "O", "O", "O", "O", "O", "O", "O", "O", "Cu", "Cu", "Cu", "Sn", "Sn", "Sn", "Sn"],
  "fractional_positions": [[0.324, 0.172, 0.496], [0.676, 0.828, 0.504], [0.172, 0.496, 0.324], [0.324, 0.828, 0.151], [0.828, 0.151, 0.324], [0.828, 0.504, 0.676], [0.504, 0.676, 0.828], [0.676, 0.172, 0.849], [0.496, 0.324, 0.172], [0.172, 0.849, 0.676], [0.151, 0.324, 0.828], [0.849, 0.676, 0.172], [0.500, 0.000, 0.500], [0.000, 0.500, 0.500], [0.500, 0.500, 0.000], [0.500, 0.000, 0.000], [0.000, 0.000, 0.500], [0.000, 0.500, 0.000], [0.500, 0.500, 0.500]]
}

---

Record 13
{
  "formula": "TmFeB4",
  "functional": "PBE",
  "state": "relaxed",
  "energy_ev_per_atom": -7.262,
  "spacegroup": "Pbam (55)",
  "formation_energy_ev_per_atom": -0.651,
  "lattice": [[3.340, 0.000, 0.000], [0.000, 5.846, 0.000], [0.000, 0.000, 11.308]],
  "species": ["B", "B", "B", "B", "B", "B", "B", "B", "B", "B", "B", "B", "B", "B", "B", "B", "Fe", "Fe", "Fe", "Fe", "Tm", "Tm", "Tm", "Tm"],
  "fractional_positions": [[0.000, 0.475, 0.691], [0.000, 0.283, 0.816], [0.000, 0.612, 0.454], [0.000, 0.217, 0.316], [0.000, 0.638, 0.032], [0.000, 0.388, 0.546], [0.000, 0.862, 0.532], [0.000, 0.025, 0.191], [0.000, 0.112, 0.046], [0.000, 0.975, 0.809], [0.000, 0.525, 0.309], [0.000, 0.717, 0.184], [0.000, 0.888, 0.954], [0.000, 0.783, 0.684], [0.000, 0.362, 0.968], [0.000, 0.138, 0.468], [0.500, 0.634, 0.589], [0.500, 0.866, 0.089], [0.500, 0.366, 0.411], [0.500, 0.134, 0.911], [0.500, 0.626, 0.850], [0.500, 0.874, 0.350], [0.500, 0.374, 0.150], [0.500, 0.126, 0.650]]
}